Entry from the Materials Project: crystalline DyGeIr at its relaxed geometry (GGA-PBE).

## Properties
As for the electronic total energy: -6.959 eV/atom. The energy of formation comes out at -0.936 eV per atom.

POSCAR file:
```
DyGeIr
1.0
6.907 0.000 0.000
0.000 4.331 0.000
0.000 0.000 7.617
Dy Ge Ir
4 4 4
direct
0.003 0.250 0.192 Dy
0.497 0.750 0.692 Dy
0.503 0.250 0.308 Dy
0.997 0.750 0.808 Dy
0.208 0.750 0.391 Ge
0.292 0.250 0.891 Ge
0.708 0.750 0.109 Ge
0.792 0.250 0.609 Ge
0.161 0.250 0.566 Ir
0.339 0.750 0.066 Ir
0.661 0.250 0.934 Ir
0.839 0.750 0.434 Ir
```



Entry from the Materials Project: crystalline Dy5Ge10Ir4 at its relaxed geometry (GGA-PBE).

## Properties
As for the electronic total energy: -6.284 eV/atom. The energy of formation comes out at -0.778 eV per atom.

POSCAR file:
```
Dy5Ge10Ir4
1.0
13.045 0.000 0.000
0.000 13.045 0.000
0.000 0.000 4.351
Dy Ge Ir
10 20 8
direct
0.000 0.000 0.000 Dy
0.116 0.384 0.500 Dy
0.174 0.674 0.500 Dy
0.326 0.174 0.500 Dy
0.384 0.884 0.500 Dy
0.500 0.500 0.000 Dy
0.616 0.116 0.500 Dy
0.674 0.826 0.500 Dy
0.826 0.326 0.500 Dy
0.884 0.616 0.500 Dy
0.009 0.843 0.500 Ge
0.067 0.567 0.000 Ge
0.157 0.009 0.500 Ge
0.163 0.200 0.000 Ge
0.200 0.837 0.000 Ge
0.300 0.337 0.000 Ge
0.337 0.700 0.000 Ge
0.343 0.509 0.500 Ge
0.433 0.067 0.000 Ge
0.491 0.343 0.500 Ge
0.509 0.657 0.500 Ge
0.567 0.933 0.000 Ge
0.657 0.491 0.500 Ge
0.663 0.300 0.000 Ge
0.700 0.663 0.000 Ge
0.800 0.163 0.000 Ge
0.837 0.800 0.000 Ge
0.843 0.991 0.500 Ge
0.933 0.433 0.000 Ge
0.991 0.157 0.500 Ge
0.021 0.754 0.000 Ir
0.246 0.021 0.000 Ir
0.254 0.521 0.000 Ir
0.479 0.254 0.000 Ir
0.521 0.746 0.000 Ir
0.746 0.479 0.000 Ir
0.754 0.979 0.000 Ir
0.979 0.246 0.000 Ir
```



Entry from the Materials Project: crystalline DyGe2Ir at its relaxed geometry (GGA-PBE).

## Properties
As for the electronic total energy: -6.473 eV/atom. The energy of formation comes out at -0.800 eV per atom.

POSCAR file:
```
DyGe2Ir
1.0
-2.142 4.460 8.050
2.142 -4.460 8.050
2.142 4.460 -8.050
Dy Ge Ir
4 8 4
direct
0.206 0.206 0.000 Dy
0.239 0.000 0.239 Dy
0.761 0.000 0.761 Dy
0.794 0.794 0.000 Dy
0.077 0.577 0.500 Ge
0.147 0.800 0.347 Ge
0.422 0.422 0.000 Ge
0.452 0.800 0.653 Ge
0.548 0.200 0.347 Ge
0.578 0.578 0.000 Ge
0.853 0.200 0.653 Ge
0.923 0.423 0.500 Ge
0.105 0.354 0.750 Ir
0.396 0.646 0.750 Ir
0.604 0.354 0.250 Ir
0.895 0.646 0.250 Ir
```



Entry from the Materials Project: crystalline Dy2MgGe2 at its relaxed geometry (GGA-PBE).

## Properties
As for the electronic total energy: -4.788 eV/atom. The energy of formation comes out at -0.776 eV per atom.

POSCAR file:
```
Dy2MgGe2
1.0
7.266 0.000 0.000
0.000 7.266 0.000
0.000 0.000 4.252
Dy Mg Ge
4 2 4
direct
0.177 0.323 0.000 Dy
0.323 0.823 0.000 Dy
0.677 0.177 0.000 Dy
0.823 0.677 0.000 Dy
0.000 0.000 0.500 Mg
0.500 0.500 0.500 Mg
0.124 0.624 0.500 Ge
0.376 0.124 0.500 Ge
0.624 0.876 0.500 Ge
0.876 0.376 0.500 Ge
```



Entry from the Materials Project: crystalline Dy6MgGe2S14 at its relaxed geometry (GGA-PBE).

## Properties
As for the electronic total energy: -5.753 eV/atom. The energy of formation comes out at -1.868 eV per atom.

POSCAR file:
```
Dy6MgGe2S14
1.0
9.858 0.000 0.000
-4.929 8.537 0.000
0.000 0.000 5.794
Dy Mg Ge S
6 1 2 14
direct
0.025 0.556 0.000 Dy
0.307 0.110 0.503 Dy
0.444 0.469 0.000 Dy
0.531 0.975 0.000 Dy
0.803 0.693 0.503 Dy
0.890 0.197 0.503 Dy
0.667 0.333 0.285 Mg
0.000 0.000 0.923 Ge
0.333 0.667 0.421 Ge
0.000 0.000 0.303 S
0.088 0.852 0.762 S
0.148 0.236 0.762 S
0.186 0.431 0.260 S
0.245 0.814 0.260 S
0.333 0.667 0.801 S
0.414 0.180 0.052 S
0.512 0.431 0.537 S
0.569 0.082 0.537 S
0.569 0.755 0.260 S
0.764 0.912 0.762 S
0.766 0.586 0.052 S
0.820 0.234 0.052 S
0.918 0.488 0.537 S
```



Entry from the Materials Project: crystalline DyMnGe at its relaxed geometry (GGA-PBE).

## Properties
As for the electronic total energy: -6.622 eV/atom. The energy of formation comes out at -0.492 eV per atom.

POSCAR file:
```
DyMnGe
1.0
7.080 0.000 0.000
0.000 4.113 0.000
0.000 0.000 7.931
Dy Mn Ge
4 4 4
direct
0.023 0.250 0.181 Dy
0.477 0.750 0.681 Dy
0.523 0.250 0.319 Dy
0.977 0.750 0.819 Dy
0.132 0.250 0.554 Mn
0.368 0.750 0.054 Mn
0.632 0.250 0.946 Mn
0.868 0.750 0.446 Mn
0.224 0.750 0.381 Ge
0.276 0.250 0.881 Ge
0.724 0.750 0.119 Ge
0.776 0.250 0.619 Ge
```



Entry from the Materials Project: crystalline DyNi2Ge2 at its relaxed geometry (GGA-PBE).

## Properties
As for the electronic total energy: -5.774 eV/atom. The energy of formation comes out at -0.691 eV per atom.

POSCAR file:
```
DyNi2Ge2
1.0
-2.028 2.028 4.897
2.028 -2.028 4.897
2.028 2.028 -4.897
Dy Ni Ge
1 2 2
direct
0.000 0.000 0.000 Dy
0.250 0.750 0.500 Ni
0.750 0.250 0.500 Ni
0.372 0.372 0.000 Ge
0.628 0.628 0.000 Ge
```



Entry from the Materials Project: crystalline Dy3Ni11Ge4 at its relaxed geometry (GGA-PBE).

## Properties
As for the electronic total energy: -5.771 eV/atom. The energy of formation comes out at -0.443 eV per atom.

POSCAR file:
```
Dy3Ni11Ge4
1.0
8.317 0.000 0.000
-4.159 7.203 0.000
0.000 0.000 8.565
Dy Ni Ge
6 22 8
direct
0.195 0.391 0.250 Dy
0.195 0.805 0.250 Dy
0.391 0.195 0.750 Dy
0.609 0.805 0.250 Dy
0.805 0.195 0.750 Dy
0.805 0.609 0.750 Dy
0.131 0.566 0.750 Ni
0.158 0.317 0.595 Ni
0.158 0.317 0.905 Ni
0.158 0.842 0.595 Ni
0.158 0.842 0.905 Ni
0.317 0.158 0.095 Ni
0.317 0.158 0.405 Ni
0.333 0.667 0.504 Ni
0.333 0.667 0.996 Ni
0.434 0.566 0.750 Ni
0.434 0.869 0.750 Ni
0.566 0.131 0.250 Ni
0.566 0.434 0.250 Ni
0.667 0.333 0.004 Ni
0.667 0.333 0.496 Ni
0.683 0.842 0.595 Ni
0.683 0.842 0.905 Ni
0.842 0.158 0.095 Ni
0.842 0.158 0.405 Ni
0.842 0.683 0.095 Ni
0.842 0.683 0.405 Ni
0.869 0.434 0.250 Ni
0.000 0.000 0.250 Ge
0.000 0.000 0.750 Ge
0.000 0.500 0.000 Ge
0.000 0.500 0.500 Ge
0.500 0.000 0.000 Ge
0.500 0.000 0.500 Ge
0.500 0.500 0.000 Ge
0.500 0.500 0.500 Ge
```



Question: What is the electronic total energy in the sixth record?
Answer: -6.622 eV/atom



Question: What is the electronic total energy in the fourth record?
Answer: -4.788 eV/atom



Question: What is the formula in the fourth record?
Answer: Dy2MgGe2



Question: Which value of energy of formation does entry 5 give?
Answer: -1.868 eV per atom